Sr2CoSO3 | PBE+U | optimized geometry

Cell and atoms, written as POSCAR:
```
Sr2CoSO3
1.0
4.0300 0.0000 0.0000
0.0000 4.0300 0.0000
0.0000 0.0000 14.3539
O Sr Co S
6 4 2 2
Cartesian
0.0000 2.0150 6.0746
2.0150 0.0000 8.2793
0.0000 0.0000 10.2344
2.0150 2.0150 10.2344
0.0000 0.0000 4.1195
2.0150 2.0150 4.1195
0.0000 2.0150 8.5609
2.0150 0.0000 5.7930
2.0150 0.0000 2.3830
0.0000 2.0150 11.9709
2.0150 0.0000 10.1486
0.0000 2.0150 4.2053
0.0000 2.0150 1.7151
2.0150 0.0000 12.6388
```

Values from the calculation:
Energy with MP2020 corrections, eV/atom: -6.266
Symmetry: P4/nmm (129)
ΔH_f (0 K), eV per atom: -2.057
Calculated total energy, eV per atom: -5.6661